Below is LiMg15 after structural relaxation, with properties calculated at the r²SCAN level.

Values from the calculation:
Calculated density = 1.73 g cm⁻³
Electronic total energy = -4.056 eV per atom

Cell lengths 6.3294, 6.3294, 10.2730 Å; angles 90.00, 90.00, 120.00 degrees
Last column: nearest neighbours and their distance in Å.
Space group P-6m2 (No. 187)
Inequivalent atoms, fractional coordinates:
1 Li 0.0000 0.0000 0.0000 [1 per cell]  12 Mg 3.15-3.16
2 Mg 0.0000 0.0000 0.5000 [1 per cell]  12 Mg 3.15-3.16
3 Mg 0.0003 0.5001 0.0000 [3 per cell]  10 Mg 3.15-3.17, 2 Li 3.16
4 Mg 0.0001 0.5000 0.5000 [3 per cell]  12 Mg 3.15-3.17
5 Mg 0.1661 0.3322 0.2499 [6 per cell]  1 Li 3.15, 11 Mg 3.15-3.18
6 Mg 0.6667 0.3333 0.2504 [2 per cell]  12 Mg 3.15-3.16

Below is Er2ZnHg after structural relaxation, with properties calculated at the r²SCAN level.

Values from the calculation:
Calculated density = 10.78 g cm⁻³
Electronic total energy = -31.999 eV per atom

Cell lengths 7.1783, 7.1783, 7.1783 Å; angles 90.00, 90.00, 90.00 degrees
Last column: nearest neighbours and their distance in Å.
Space group Fm-3m (No. 225)
Inequivalent atoms, fractional coordinates:
1 Er 0.2500 0.2500 0.2500 [8 per cell]  4 Hg 3.11, 4 Zn 3.11
2 Zn 0.0000 0.0000 0.0000 [4 per cell]  8 Er 3.11
3 Hg 0.0000 0.0000 0.5000 [4 per cell]  8 Er 3.11

Below is Bi5IO7 after structural relaxation, with properties calculated at the r²SCAN level.

Values from the calculation:
Calculated density = 8.55 g cm⁻³
Electronic total energy = -28.885 eV per atom

Cell lengths 18.5912, 4.2281, 13.2340 Å; angles 90.00, 106.62, 90.00 degrees
Last column: nearest neighbours and their distance in Å.
Space group C2/m (No. 12)
Inequivalent atoms, fractional coordinates:
1 Bi 0.0309 0.0000 0.3642 [4 per cell]  4 O 2.12-2.27
2 Bi 0.1039 0.0000 0.1266 [4 per cell]  4 O 2.13-2.29
3 Bi 0.1223 0.5000 0.5914 [4 per cell]  4 O 2.11-2.30
4 Bi 0.2049 0.5000 0.3682 [4 per cell]  4 O 2.28-2.50
5 Bi 0.2392 0.0000 0.8687 [4 per cell]  4 O 2.09-2.26
6 I 0.0709 0.5000 0.8748 [4 per cell]  6 O 3.72-4.12, 10 Bi 3.80-4.14
7 O 0.0709 0.5000 0.4127 [4 per cell]  3 Bi 2.27-2.28
8 O 0.0861 0.0000 0.5284 [4 per cell]  3 Bi 2.12-2.30
9 O 0.1264 0.0000 0.2975 [4 per cell]  2 Bi 2.18-2.20
10 O 0.1501 0.5000 0.1667 [4 per cell]  3 Bi 2.24-2.29
11 O 0.1979 0.0000 0.7045 [4 per cell]  2 Bi 2.09-2.28
12 O 0.2161 0.0000 0.1153 [4 per cell]  3 Bi 2.13-2.26
13 O 0.2277 0.5000 0.5608 [4 per cell]  1 Bi 2.11

Below is Ni5O6 after structural relaxation, with properties calculated at the r²SCAN level.

Values from the calculation:
Calculated density = 6.20 g cm⁻³
Electronic total energy = -9.785 eV per atom

Cell lengths 5.0818, 8.6746, 5.0560 Å; angles 90.00, 110.63, 90.00 degrees
Last column: nearest neighbours and their distance in Å.
Space group C2/m (No. 12)
Inequivalent atoms, fractional coordinates:
1 Ni 0.0000 0.0000 0.0000 [2 per cell]  6 O 1.98-2.08
2 Ni 0.0000 0.1674 0.5000 [4 per cell]  6 O 2.02-2.09
3 Ni 0.0000 0.3396 0.0000 [4 per cell]  4 O 1.89-1.96
4 O 0.2250 0.1841 0.2359 [8 per cell]  4 Ni 1.89-2.08
5 O 0.2477 0.0000 0.7731 [4 per cell]  5 Ni 1.96-2.09

Below is Ti2Ga after structural relaxation, with properties calculated at the r²SCAN level.

Values from the calculation:
Calculated density = 5.73 g cm⁻³
Electronic total energy = -12.890 eV per atom

Cell lengths 4.5053, 4.5053, 5.4508 Å; angles 90.00, 90.00, 120.00 degrees
Last column: nearest neighbours and their distance in Å.
Space group P6_3/mmc (No. 194)
Inequivalent atoms, fractional coordinates:
1 Ti 0.0000 0.0000 0.0000 [2 per cell]  8 Ti 2.73-2.94, 6 Ga 2.94
2 Ti 0.3333 0.6667 0.2500 [2 per cell]  5 Ga 2.60-2.73
3 Ga 0.3333 0.6667 0.7500 [2 per cell]  5 Ti 2.60-2.73

Below is BaAg8S5 after structural relaxation, with properties calculated at the r²SCAN level.

Values from the calculation:
Calculated density = 6.56 g cm⁻³
Electronic total energy = -17.420 eV per atom

Cell lengths 7.8698, 17.4489, 9.0121 Å; angles 90.00, 108.27, 90.00 degrees
Last column: nearest neighbours and their distance in Å.
Space group P2_1/m (No. 11)
Inequivalent atoms, fractional coordinates:
1 Ba 0.0693 0.2500 0.2496 [2 per cell]  8 S 3.18-3.44
2 Ba 0.1072 0.2500 0.7896 [2 per cell]  8 S 3.23-3.40
3 Ag 0.0000 0.0000 0.0000 [2 per cell]  2 S 2.53
4 Ag 0.1317 0.5476 0.3505 [4 per cell]  2 S 2.46-2.50
5 Ag 0.1856 0.5477 0.7142 [4 per cell]  2 S 2.42-2.44
6 Ag 0.2536 0.0976 0.5783 [4 per cell]  3 S 2.54-2.78, 1 Ag 2.83
7 Ag 0.3782 0.6626 0.2784 [4 per cell]  2 S 2.45
8 Ag 0.3877 0.6612 0.9561 [4 per cell]  2 S 2.45-2.47
9 Ag 0.4347 0.6615 0.6265 [4 per cell]  3 S 2.53-2.67
10 Ag 0.4382 0.5044 0.1476 [4 per cell]  3 S 2.52-2.81
11 Ag 0.5000 0.0000 0.5000 [2 per cell]  2 S 2.47
12 S 0.0971 0.6507 0.5250 [4 per cell]  3 Ag 2.42-2.53
13 S 0.1261 0.6344 0.0438 [4 per cell]  3 Ag 2.45-2.53
14 S 0.2726 0.0735 0.2988 [4 per cell]  5 Ag 2.47-2.67
15 S 0.2800 0.0704 0.8613 [4 per cell]  3 Ag 2.44-2.54
16 S 0.3885 0.2500 0.5706 [2 per cell]  2 Ag 2.45
17 S 0.4159 0.2500 0.1245 [2 per cell]  4 Ag 2.45-2.67